(1)
# RbTe2O6 | the Materials Project | PBE | relaxed
data_RbTe2O6
_chemical_formula_sum 'Rb2 Te4 O12'
_cell_length_a 7.436
_cell_length_b 7.436
_cell_length_c 7.436
_cell_angle_alpha 60.00
_cell_angle_beta 60.00
_cell_angle_gamma 60.00
_symmetry_space_group_name_H-M 'P 1'
_symmetry_Int_Tables_number 1
loop_
_symmetry_equiv_pos_as_xyz
'x,y,z'
loop_
_atom_site_label
_atom_site_type_symbol
_atom_site_fract_x
_atom_site_fract_y
_atom_site_fract_z
Te1 Te 0.125 0.625 0.625
O1 O 0.695 0.305 0.695
Te2 Te 0.625 0.625 0.125
Rb1 Rb 0.000 0.000 0.000
Te3 Te 0.625 0.125 0.625
O2 O 0.305 0.305 0.695
Rb2 Rb 0.250 0.250 0.250
O3 O 0.555 0.945 0.945
O4 O 0.555 0.555 0.945
O5 O 0.945 0.945 0.555
Te4 Te 0.625 0.625 0.625
O6 O 0.695 0.305 0.305
O7 O 0.305 0.695 0.305
O8 O 0.695 0.695 0.305
O9 O 0.305 0.695 0.695
O10 O 0.555 0.945 0.555
O11 O 0.945 0.555 0.945
O12 O 0.945 0.555 0.555
# symmetry	Fd-3m, No. 227
# energy relative to the elements	-1.637	eV/atom

=====

(2)
# Rb6Te2O9 | the Materials Project | PBE | relaxed
data_Rb6Te2O9
_chemical_formula_sum 'Rb12 Te4 O18'
_cell_length_a 8.912
_cell_length_b 8.912
_cell_length_c 11.230
_cell_angle_alpha 67.93
_cell_angle_beta 67.93
_cell_angle_gamma 92.95
_symmetry_space_group_name_H-M 'P 1'
_symmetry_Int_Tables_number 1
loop_
_symmetry_equiv_pos_as_xyz
'x,y,z'
loop_
_atom_site_label
_atom_site_type_symbol
_atom_site_fract_x
_atom_site_fract_y
_atom_site_fract_z
Rb1 Rb 0.000 0.294 0.972
O1 O 0.417 0.331 0.244
Rb2 Rb 0.303 0.501 0.477
O2 O 0.774 0.226 0.250
O3 O 0.013 0.885 0.407
O4 O 0.226 0.774 0.750
Te1 Te 0.626 0.374 0.250
O5 O 0.093 0.634 0.285
Rb3 Rb 0.000 0.706 0.028
O6 O 0.634 0.093 0.785
O7 O 0.885 0.013 0.907
O8 O 0.264 0.520 0.958
O9 O 0.736 0.480 0.042
Rb4 Rb 0.706 0.000 0.528
O10 O 0.520 0.264 0.458
Te2 Te 0.374 0.626 0.750
O11 O 0.331 0.417 0.744
O12 O 0.115 0.987 0.093
O13 O 0.366 0.907 0.215
Rb5 Rb 0.901 0.676 0.739
Rb6 Rb 0.697 0.499 0.523
Rb7 Rb 0.501 0.303 0.977
Rb8 Rb 0.324 0.099 0.761
O14 O 0.987 0.115 0.593
Rb9 Rb 0.499 0.697 0.023
Rb10 Rb 0.099 0.324 0.261
O15 O 0.669 0.583 0.256
Te3 Te 0.146 0.854 0.250
O16 O 0.907 0.366 0.715
Te4 Te 0.854 0.146 0.750
O17 O 0.583 0.669 0.756
O18 O 0.480 0.736 0.542
Rb11 Rb 0.676 0.901 0.239
Rb12 Rb 0.294 0.000 0.472
# symmetry	C2/c, No. 15
# energy relative to the elements	-1.789	eV/atom

=====

(3)
# RbTeO3 | the Materials Project | PBE | relaxed
data_RbTeO3
_chemical_formula_sum 'Rb1 Te1 O3'
_cell_length_a 4.172
_cell_length_b 4.172
_cell_length_c 4.172
_cell_angle_alpha 90.00
_cell_angle_beta 90.00
_cell_angle_gamma 90.00
_symmetry_space_group_name_H-M 'P 1'
_symmetry_Int_Tables_number 1
loop_
_symmetry_equiv_pos_as_xyz
'x,y,z'
loop_
_atom_site_label
_atom_site_type_symbol
_atom_site_fract_x
_atom_site_fract_y
_atom_site_fract_z
O1 O 0.000 0.500 0.500
O2 O 0.500 0.000 0.500
Rb1 Rb 0.000 0.000 0.000
Te1 Te 0.500 0.500 0.500
O3 O 0.500 0.500 0.000
# symmetry	Pm-3m, No. 221
# energy relative to the elements	-1.573	eV/atom

=====

(4)
# Rb2TiTe3O12 | the Materials Project | PBE | relaxed
data_Rb2TiTe3O12
_chemical_formula_sum 'Rb2 Ti1 Te3 O12'
_cell_length_a 7.236
_cell_length_b 7.236
_cell_length_c 7.237
_cell_angle_alpha 60.28
_cell_angle_beta 60.28
_cell_angle_gamma 60.30
_symmetry_space_group_name_H-M 'P 1'
_symmetry_Int_Tables_number 1
loop_
_symmetry_equiv_pos_as_xyz
'x,y,z'
loop_
_atom_site_label
_atom_site_type_symbol
_atom_site_fract_x
_atom_site_fract_y
_atom_site_fract_z
O1 O 0.566 0.565 0.681
O2 O 0.173 0.175 0.072
Te1 Te 0.999 0.501 0.000
O3 O 0.825 0.827 0.928
O4 O 0.435 0.820 0.933
Rb1 Rb 0.116 0.152 0.620
Te2 Te 0.499 0.501 0.500
Ti1 Ti 0.498 0.502 0.000
O5 O 0.180 0.565 0.067
O6 O 0.565 0.181 0.065
Te3 Te 0.499 0.001 0.000
O7 O 0.571 0.176 0.675
O8 O 0.173 0.572 0.674
O9 O 0.428 0.827 0.326
O10 O 0.824 0.429 0.325
O11 O 0.819 0.435 0.935
O12 O 0.435 0.434 0.319
Rb2 Rb 0.848 0.884 0.380
# symmetry	C2, No. 5
# energy relative to the elements	-1.999	eV/atom

=====

(5)
# Rb2TiTe3O12 | the Materials Project | PBE | relaxed
data_Rb2TiTe3O12
_chemical_formula_sum 'Rb2 Ti1 Te3 O12'
_cell_length_a 7.231
_cell_length_b 7.275
_cell_length_c 7.231
_cell_angle_alpha 90.00
_cell_angle_beta 60.41
_cell_angle_gamma 120.20
_symmetry_space_group_name_H-M 'P 1'
_symmetry_Int_Tables_number 1
loop_
_symmetry_equiv_pos_as_xyz
'x,y,z'
loop_
_atom_site_label
_atom_site_type_symbol
_atom_site_fract_x
_atom_site_fract_y
_atom_site_fract_z
O1 O 0.348 0.171 0.071
O2 O 0.745 0.568 0.674
O3 O 0.131 0.563 0.681
O4 O 0.746 0.563 0.066
Rb1 Rb 0.262 0.128 0.631
O5 O 0.745 0.171 0.674
O6 O 0.255 0.823 0.326
O7 O 0.254 0.817 0.934
O8 O 0.652 0.823 0.929
Rb2 Rb 0.738 0.866 0.369
O9 O 0.746 0.178 0.066
Te1 Te 0.000 0.497 0.500
O10 O 0.255 0.427 0.326
Te2 Te 0.500 0.497 0.000
Te3 Te 0.500 0.997 0.000
O11 O 0.254 0.432 0.934
O12 O 0.869 0.432 0.319
Ti1 Ti 0.000 0.497 0.000
# symmetry	R-3m, No. 166
# energy relative to the elements	-1.999	eV/atom

=====

(6)
# RbYTe2O6 | the Materials Project | PBE | relaxed
data_RbYTe2O6
_chemical_formula_sum 'Rb4 Y4 Te8 O24'
_cell_length_a 6.145
_cell_length_b 8.814
_cell_length_c 14.004
_cell_angle_alpha 90.00
_cell_angle_beta 90.00
_cell_angle_gamma 90.00
_symmetry_space_group_name_H-M 'P 1'
_symmetry_Int_Tables_number 1
loop_
_symmetry_equiv_pos_as_xyz
'x,y,z'
loop_
_atom_site_label
_atom_site_type_symbol
_atom_site_fract_x
_atom_site_fract_y
_atom_site_fract_z
Y1 Y 0.750 0.288 0.592
O1 O 0.250 0.941 0.327
O2 O 0.487 0.300 0.992
Te1 Te 0.750 0.495 0.305
O3 O 0.487 0.200 0.492
Te2 Te 0.750 0.783 0.076
Rb1 Rb 0.750 0.994 0.366
O4 O 0.750 0.441 0.173
Te3 Te 0.750 0.717 0.576
O5 O 0.513 0.700 0.008
Rb2 Rb 0.250 0.006 0.634
Rb3 Rb 0.750 0.506 0.866
Te4 Te 0.250 0.995 0.195
O6 O 0.250 0.559 0.827
Te5 Te 0.750 0.005 0.805
O7 O 0.013 0.368 0.698
O8 O 0.487 0.368 0.698
Y2 Y 0.250 0.712 0.408
Rb4 Rb 0.250 0.494 0.134
O9 O 0.013 0.300 0.992
Y3 Y 0.250 0.788 0.908
O10 O 0.750 0.980 0.023
Te6 Te 0.250 0.505 0.695
Te7 Te 0.250 0.283 0.424
O11 O 0.987 0.868 0.802
O12 O 0.513 0.868 0.802
O13 O 0.513 0.800 0.508
Te8 Te 0.250 0.217 0.924
Y4 Y 0.750 0.212 0.092
O14 O 0.013 0.132 0.198
O15 O 0.750 0.520 0.523
O16 O 0.987 0.700 0.008
O17 O 0.250 0.480 0.477
O18 O 0.250 0.020 0.977
O19 O 0.487 0.132 0.198
O20 O 0.750 0.059 0.673
O21 O 0.987 0.632 0.302
O22 O 0.987 0.800 0.508
O23 O 0.013 0.200 0.492
O24 O 0.513 0.632 0.302
# symmetry	Pnma, No. 62
# energy relative to the elements	-2.306	eV/atom

=====

(7)
# Rb2Ti4O9 | the Materials Project | PBE | relaxed
data_Rb2Ti4O9
_chemical_formula_sum 'Rb4 Ti8 O18'
_cell_length_a 3.827
_cell_length_b 9.899
_cell_length_c 12.191
_cell_angle_alpha 106.25
_cell_angle_beta 90.00
_cell_angle_gamma 101.14
_symmetry_space_group_name_H-M 'P 1'
_symmetry_Int_Tables_number 1
loop_
_symmetry_equiv_pos_as_xyz
'x,y,z'
loop_
_atom_site_label
_atom_site_type_symbol
_atom_site_fract_x
_atom_site_fract_y
_atom_site_fract_z
O1 O 0.306 0.612 0.858
Ti1 Ti 0.795 0.590 0.102
O2 O 0.767 0.534 0.699
Ti2 Ti 0.205 0.410 0.898
Ti3 Ti 0.246 0.493 0.667
Ti4 Ti 0.128 0.257 0.363
Ti5 Ti 0.165 0.331 0.126
O3 O 0.167 0.333 0.745
O4 O 0.815 0.630 0.471
O5 O 0.958 0.915 0.621
Ti6 Ti 0.754 0.507 0.333
O6 O 0.270 0.539 0.078
Ti7 Ti 0.835 0.669 0.874
O7 O 0.730 0.461 0.922
O8 O 0.872 0.744 0.037
O9 O 0.909 0.817 0.817
O10 O 0.694 0.388 0.142
O11 O 0.185 0.370 0.529
Ti8 Ti 0.872 0.743 0.637
O12 O 0.091 0.183 0.183
O13 O 0.128 0.256 0.963
Rb1 Rb 0.517 0.034 0.833
O14 O 0.345 0.689 0.641
Rb2 Rb 0.584 0.168 0.587
O15 O 0.655 0.311 0.359
O16 O 0.833 0.667 0.255
O17 O 0.233 0.466 0.301
O18 O 0.042 0.085 0.379
Rb3 Rb 0.416 0.832 0.413
Rb4 Rb 0.483 0.966 0.167
# symmetry	C2/m, No. 12
# energy relative to the elements	-3.250	eV/atom

=====

(8)
# Rb2TiO3 | the Materials Project | PBE | relaxed
data_Rb2TiO3
_chemical_formula_sum 'Rb8 Ti4 O12'
_cell_length_a 6.785
_cell_length_b 6.785
_cell_length_c 13.536
_cell_angle_alpha 90.00
_cell_angle_beta 90.00
_cell_angle_gamma 126.66
_symmetry_space_group_name_H-M 'P 1'
_symmetry_Int_Tables_number 1
loop_
_symmetry_equiv_pos_as_xyz
'x,y,z'
loop_
_atom_site_label
_atom_site_type_symbol
_atom_site_fract_x
_atom_site_fract_y
_atom_site_fract_z
O1 O 0.102 0.898 0.363
O2 O 0.602 0.398 0.137
O3 O 0.398 0.602 0.863
Rb1 Rb 0.867 0.133 0.427
O4 O 0.975 0.525 0.750
O5 O 0.332 0.668 0.436
Rb2 Rb 0.442 0.558 0.637
O6 O 0.025 0.475 0.250
Ti1 Ti 0.755 0.245 0.671
Rb3 Rb 0.942 0.058 0.863
O7 O 0.168 0.832 0.936
Ti2 Ti 0.255 0.745 0.829
Ti3 Ti 0.745 0.255 0.171
O8 O 0.832 0.168 0.064
Rb4 Rb 0.633 0.367 0.927
Rb5 Rb 0.558 0.442 0.363
Ti4 Ti 0.245 0.755 0.329
Rb6 Rb 0.367 0.633 0.073
Rb7 Rb 0.133 0.867 0.573
Rb8 Rb 0.058 0.942 0.137
O9 O 0.898 0.102 0.637
O10 O 0.525 0.975 0.250
O11 O 0.475 0.025 0.750
O12 O 0.668 0.332 0.564
# symmetry	Cmce, No. 64
# energy relative to the elements	-2.751	eV/atom